Here is an optimized crystal structure of Na7In2Si3Sn2P3O24 from Materials Project. Energies are from PBE.

Structure (POSCAR):
```
Na7In2Si3Sn2P3O24
1.0
9.130 0.000 0.000
4.562 7.910 0.000
0.136 -0.012 22.667
Na In Si Sn P O
21 6 9 6 9 72
direct
0.000 0.000 0.000
0.001 0.256 0.505
0.003 0.630 0.753
0.007 0.618 0.251
0.032 0.936 0.670
0.307 0.291 0.670
0.313 0.654 0.171
0.337 0.969 0.087
0.338 0.335 0.333
0.340 0.958 0.588
0.368 0.633 0.503
0.380 0.253 0.003
0.632 0.632 0.005
0.640 0.999 0.504
0.663 0.295 0.917
0.667 0.934 0.167
0.670 0.296 0.419
0.700 0.592 0.334
0.701 0.967 0.836
0.972 0.959 0.336
0.975 0.322 0.834
0.005 0.632 0.402
0.334 0.959 0.437
0.339 0.964 0.934
0.665 0.303 0.266
0.668 0.294 0.072
0.674 0.290 0.573
0.001 0.925 0.503
0.042 0.962 0.836
0.338 0.262 0.836
0.338 0.665 0.336
0.367 0.296 0.169
0.668 0.997 0.670
0.672 0.593 0.169
0.712 0.921 0.002
0.966 0.297 0.670
0.001 0.625 0.105
0.008 0.632 0.899
0.333 0.964 0.234
0.336 0.963 0.736
0.671 0.296 0.769
0.997 0.632 0.606
0.003 0.340 0.002
0.043 0.255 0.336
0.293 0.629 0.003
0.297 0.336 0.503
0.377 0.591 0.669
0.629 0.963 0.336
0.630 0.665 0.836
0.711 0.629 0.502
0.969 0.998 0.169
0.000 0.459 0.664
0.011 0.799 0.839
0.022 0.434 0.339
0.038 0.421 0.055
0.040 0.798 0.561
0.116 0.002 0.895
0.117 0.153 0.394
0.149 0.973 0.175
0.154 0.123 0.676
0.157 0.443 0.842
0.159 0.928 0.777
0.162 0.161 0.998
0.163 0.171 0.283
0.166 0.649 0.337
0.173 0.941 0.502
0.181 0.418 0.558
0.183 0.659 0.059
0.186 0.474 0.162
0.199 0.605 0.665
0.211 0.594 0.949
0.220 0.441 0.447
0.298 0.178 0.778
0.299 0.791 0.278
0.306 0.791 0.998
0.317 0.157 0.500
0.351 0.771 0.676
0.355 0.122 0.176
0.377 0.742 0.395
0.383 0.146 0.895
0.442 0.336 0.228
0.461 0.471 0.722
0.471 0.324 0.508
0.471 0.470 0.006
0.477 0.520 0.611
0.486 0.249 0.110
0.497 0.783 0.175
0.497 0.981 0.678
0.507 0.477 0.333
0.508 0.278 0.828
0.520 0.999 0.392
0.525 0.935 0.000
0.530 0.734 0.894
0.537 0.794 0.499
0.544 0.935 0.281
0.548 0.786 0.783
0.620 0.114 0.611
0.630 0.518 0.110
0.654 0.118 0.330
0.656 0.486 0.828
0.686 0.474 0.508
0.698 0.107 0.005
0.707 0.083 0.727
0.707 0.485 0.229
0.798 0.658 0.556
0.799 0.802 0.061
0.803 0.798 0.339
0.810 0.648 0.841
0.818 0.593 0.445
0.831 0.833 0.944
0.832 0.113 0.507
0.832 0.628 0.165
0.841 0.326 0.007
0.847 0.816 0.665
0.849 0.332 0.728
0.854 0.136 0.830
0.857 0.072 0.225
0.869 0.266 0.330
0.894 0.104 0.113
0.895 0.257 0.610
0.962 0.849 0.444
0.973 0.450 0.945
0.988 0.819 0.163
```

* space-group type: P1, No. 1
* ΔH_f (0 K): -2.552 eV per atom
* total energy after the MP2020 corrections: -0.4996 Ry/atom
* crystal system: triclinic
* V: 546 Å³/f.u.
* electronic total energy: -786.538 eV per cell